Material: Na3Nb2Si3Sn2P3O24
Method: DFT, PBE-GGA
State: optimized geometry

The crystal system is triclinic. For the energy with MP2020 corrections, the calculation gives -7.74 eV per atom. Its formation energy is -2.777 eV per atom. As for the size of the total moment: 0.0 Bohr magnetons per cell.

Cell and atoms, written as CIF:
```
data_Na3Nb2Si3Sn2P3O24
_chemical_formula_sum 'Na9 Nb6 Si9 Sn6 P9 O72'
_space_group_name_H-M_alt 'P 1'
_space_group_IT_number 1
_space_group_name_Hall 'P 1'
_cell_length_a 8.870
_cell_length_b 8.888
_cell_length_c 22.841
_cell_angle_alpha 90.09
_cell_angle_beta 90.18
_cell_angle_gamma 119.86
loop_
_atom_site_label
_atom_site_fract_x
_atom_site_fract_y
_atom_site_fract_z
Na1 0.000 0.000 0.000
Na2 0.000 0.006 0.500
Na3 0.323 0.658 0.667
Na4 0.333 0.660 0.166
Na5 0.366 0.000 0.250
Na6 0.634 0.002 0.750
Na7 0.667 0.334 0.333
Na8 0.671 0.341 0.834
Na9 0.968 0.668 0.417
Nb1 0.000 0.994 0.144
Nb2 0.001 0.004 0.644
Nb3 0.332 0.674 0.522
Nb4 0.337 0.677 0.021
Nb5 0.667 0.336 0.979
Nb6 0.997 0.001 0.856
Si1 0.004 0.296 0.750
Si2 0.043 0.666 0.916
Si3 0.338 0.965 0.415
Si4 0.382 0.049 0.085
Si5 0.619 0.956 0.915
Si6 0.663 0.620 0.084
Si7 0.666 0.048 0.584
Si8 0.951 0.621 0.583
Si9 0.995 0.703 0.251
Sn1 0.326 0.662 0.815
Sn2 0.334 0.666 0.314
Sn3 0.663 0.329 0.482
Sn4 0.670 0.337 0.686
Sn5 0.671 0.340 0.185
Sn6 0.999 0.002 0.353
P1 0.044 0.376 0.417
P2 0.289 0.002 0.750
P3 0.289 0.292 0.250
P4 0.334 0.381 0.917
P5 0.379 0.336 0.584
P6 0.621 0.666 0.417
P7 0.712 0.001 0.250
P8 0.712 0.709 0.750
P9 0.957 0.334 0.083
O1 0.024 0.194 0.411
O2 0.025 0.192 0.694
O3 0.026 0.841 0.909
O4 0.030 0.837 0.195
O5 0.118 0.625 0.858
O6 0.122 0.490 0.362
O7 0.139 0.493 0.075
O8 0.147 0.642 0.574
O9 0.154 0.968 0.413
O10 0.159 0.464 0.471
O11 0.165 0.696 0.974
O12 0.172 0.197 0.909
O13 0.174 0.204 0.195
O14 0.175 0.975 0.695
O15 0.180 0.484 0.753
O16 0.180 0.700 0.254
O17 0.187 0.029 0.091
O18 0.195 0.172 0.592
O19 0.199 0.024 0.805
O20 0.211 0.177 0.305
O21 0.302 0.463 0.971
O22 0.303 0.831 0.471
O23 0.309 0.474 0.255
O24 0.315 0.842 0.754
O25 0.353 0.853 0.076
O26 0.355 0.495 0.575
O27 0.368 0.880 0.356
O28 0.371 0.489 0.861
O29 0.451 0.297 0.529
O30 0.468 0.300 0.245
O31 0.471 0.167 0.746
O32 0.473 0.169 0.028
O33 0.489 0.371 0.639
O34 0.491 0.119 0.145
O35 0.494 0.356 0.925
O36 0.494 0.643 0.074
O37 0.499 0.849 0.574
O38 0.507 0.155 0.422
O39 0.511 0.879 0.855
O40 0.512 0.633 0.361
O41 0.529 0.832 0.972
O42 0.530 0.836 0.254
O43 0.531 0.690 0.471
O44 0.534 0.703 0.755
O45 0.623 0.114 0.645
O46 0.627 0.507 0.142
O47 0.644 0.148 0.925
O48 0.650 0.508 0.422
O49 0.683 0.159 0.244
O50 0.691 0.528 0.745
O51 0.699 0.533 0.026
O52 0.707 0.163 0.526
O53 0.800 0.827 0.696
O54 0.803 0.978 0.196
O55 0.804 0.832 0.413
O56 0.814 0.976 0.909
O57 0.821 0.299 0.747
O58 0.822 0.035 0.306
O59 0.826 0.513 0.245
O60 0.826 0.799 0.805
O61 0.835 0.816 0.092
O62 0.836 0.020 0.593
O63 0.840 0.303 0.029
O64 0.843 0.551 0.522
O65 0.850 0.498 0.926
O66 0.865 0.367 0.422
O67 0.876 0.505 0.641
O68 0.883 0.370 0.139
O69 0.966 0.789 0.311
O70 0.972 0.165 0.806
O71 0.974 0.170 0.091
O72 0.983 0.818 0.593
```

***

Material: Na3Ta2Nb2Si5PO24
Method: DFT, PBE-GGA
State: optimized geometry

The crystal system is triclinic. For the energy with MP2020 corrections, the calculation gives -8.47 eV per atom. Its formation energy is -3.086 eV per atom. As for the size of the total moment: 0.0 Bohr magnetons per cell.

Cell and atoms, written as CIF:
```
data_Na3Ta2Nb2Si5PO24
_chemical_formula_sum 'Na9 Ta6 Nb6 Si15 P3 O72'
_space_group_name_H-M_alt 'P 1'
_space_group_IT_number 1
_space_group_name_Hall 'P 1'
_cell_length_a 8.898
_cell_length_b 8.938
_cell_length_c 22.894
_cell_angle_alpha 89.75
_cell_angle_beta 89.93
_cell_angle_gamma 60.18
loop_
_atom_site_label
_atom_site_fract_x
_atom_site_fract_y
_atom_site_fract_z
Na1 0.000 0.000 0.000
Na2 0.000 0.007 0.501
Na3 0.303 0.674 0.418
Na4 0.334 0.334 0.333
Na5 0.334 0.340 0.834
Na6 0.660 0.681 0.168
Na7 0.666 0.681 0.668
Na8 0.698 0.341 0.584
Na9 0.968 0.341 0.084
Ta1 0.333 0.338 0.479
Ta2 0.333 0.344 0.189
Ta3 0.335 0.339 0.979
Ta4 0.337 0.337 0.689
Ta5 0.668 0.672 0.313
Ta6 0.668 0.678 0.522
Nb1 0.002 0.011 0.355
Nb2 0.005 0.005 0.146
Nb3 0.008 0.006 0.646
Nb4 0.668 0.677 0.022
Nb5 0.669 0.675 0.813
Nb6 0.995 0.018 0.856
Si1 0.001 0.298 0.250
Si2 0.047 0.343 0.585
Si3 0.051 0.629 0.083
Si4 0.291 0.008 0.752
Si5 0.291 0.718 0.252
Si6 0.331 0.628 0.584
Si7 0.339 0.053 0.085
Si8 0.384 0.963 0.417
Si9 0.619 0.341 0.084
Si10 0.620 0.051 0.585
Si11 0.667 0.964 0.917
Si12 0.671 0.386 0.418
Si13 0.711 0.298 0.750
Si14 0.954 0.674 0.417
Si15 0.957 0.388 0.918
P1 0.004 0.721 0.751
P2 0.380 0.674 0.917
P3 0.713 0.008 0.251
O1 0.020 0.175 0.591
O2 0.024 0.822 0.092
O3 0.026 0.174 0.307
O4 0.029 0.806 0.806
O5 0.138 0.502 0.140
O6 0.139 0.371 0.642
O7 0.148 0.369 0.924
O8 0.150 0.508 0.424
O9 0.160 0.042 0.091
O10 0.161 0.819 0.591
O11 0.164 0.540 0.743
O12 0.168 0.032 0.808
O13 0.168 0.312 0.527
O14 0.169 0.536 0.026
O15 0.172 0.807 0.310
O16 0.176 0.313 0.244
O17 0.192 0.842 0.195
O18 0.194 0.975 0.410
O19 0.196 0.979 0.694
O20 0.199 0.834 0.910
O21 0.299 0.180 0.028
O22 0.306 0.182 0.744
O23 0.306 0.541 0.524
O24 0.312 0.526 0.244
O25 0.361 0.154 0.424
O26 0.363 0.511 0.924
O27 0.364 0.146 0.142
O28 0.368 0.502 0.640
O29 0.467 0.701 0.972
O30 0.470 0.836 0.474
O31 0.481 0.703 0.257
O32 0.482 0.837 0.758
O33 0.492 0.375 0.424
O34 0.495 0.647 0.863
O35 0.498 0.155 0.925
O36 0.499 0.147 0.642
O37 0.500 0.369 0.142
O38 0.503 0.869 0.360
O39 0.504 0.860 0.077
O40 0.509 0.641 0.577
O41 0.518 0.319 0.744
O42 0.528 0.313 0.027
O43 0.531 0.179 0.528
O44 0.532 0.170 0.244
O45 0.633 0.513 0.362
O46 0.638 0.869 0.860
O47 0.640 0.861 0.577
O48 0.648 0.508 0.077
O49 0.693 0.487 0.759
O50 0.693 0.841 0.974
O51 0.695 0.845 0.258
O52 0.697 0.474 0.477
O53 0.800 0.034 0.306
O54 0.806 0.173 0.807
O55 0.809 0.039 0.592
O56 0.815 0.174 0.091
O57 0.826 0.981 0.196
O58 0.829 0.206 0.692
O59 0.830 0.489 0.258
O60 0.833 0.703 0.474
O61 0.838 0.194 0.410
O62 0.839 0.473 0.977
O63 0.839 0.702 0.758
O64 0.843 0.976 0.910
O65 0.851 0.508 0.578
O66 0.859 0.509 0.861
O67 0.861 0.640 0.077
O68 0.862 0.645 0.360
O69 0.971 0.209 0.192
O70 0.974 0.834 0.696
O71 0.978 0.195 0.910
O72 0.982 0.842 0.410
```

***

Material: NaTa2Nb2Si3P3O24
Method: DFT, PBE-GGA
State: optimized geometry

The crystal system is triclinic. For the energy with MP2020 corrections, the calculation gives -8.68 eV per atom. Its formation energy is -3.063 eV per atom. As for the size of the total moment: 0.0 Bohr magnetons per cell.

Cell and atoms, written as CIF:
```
data_NaTa2Nb2Si3P3O24
_chemical_formula_sum 'Na3 Ta6 Nb6 Si9 P9 O72'
_space_group_name_H-M_alt 'P 1'
_space_group_IT_number 1
_space_group_name_Hall 'P 1'
_cell_length_a 8.852
_cell_length_b 8.855
_cell_length_c 22.844
_cell_angle_alpha 90.06
_cell_angle_beta 90.14
_cell_angle_gamma 119.97
loop_
_atom_site_label
_atom_site_fract_x
_atom_site_fract_y
_atom_site_fract_z
Na1 0.000 0.000 0.000
Na2 0.001 0.001 0.495
Na3 0.334 0.666 0.163
Ta1 0.003 0.003 0.641
Ta2 0.330 0.669 0.522
Ta3 0.332 0.670 0.808
Ta4 0.664 0.337 0.473
Ta5 0.669 0.339 0.686
Ta6 0.999 0.002 0.853
Nb1 0.006 0.007 0.351
Nb2 0.336 0.673 0.020
Nb3 0.338 0.673 0.309
Nb4 0.668 0.338 0.188
Nb5 0.676 0.339 0.973
Nb6 0.995 0.005 0.141
Si1 0.050 0.670 0.913
Si2 0.288 0.290 0.247
Si3 0.333 0.955 0.415
Si4 0.383 0.336 0.580
Si5 0.618 0.954 0.913
Si6 0.668 0.620 0.080
Si7 0.714 0.002 0.247
Si8 0.950 0.619 0.581
Si9 0.954 0.338 0.080
P1 0.000 0.287 0.747
P2 0.002 0.718 0.247
P3 0.049 0.384 0.415
P4 0.287 0.002 0.747
P5 0.334 0.385 0.913
P6 0.383 0.052 0.080
P7 0.620 0.671 0.415
P8 0.668 0.053 0.580
P9 0.715 0.717 0.747
O1 0.027 0.199 0.408
O2 0.028 0.198 0.693
O3 0.031 0.844 0.903
O4 0.034 0.831 0.193
O5 0.133 0.494 0.360
O6 0.141 0.641 0.855
O7 0.143 0.643 0.571
O8 0.148 0.508 0.073
O9 0.159 0.975 0.408
O10 0.163 0.195 0.190
O11 0.163 0.467 0.756
O12 0.163 0.695 0.256
O13 0.166 0.470 0.469
O14 0.168 0.973 0.693
O15 0.169 0.201 0.903
O16 0.171 0.703 0.970
O17 0.188 0.166 0.591
O18 0.195 0.168 0.305
O19 0.197 0.027 0.088
O20 0.200 0.032 0.801
O21 0.297 0.464 0.968
O22 0.304 0.480 0.256
O23 0.304 0.838 0.756
O24 0.306 0.831 0.471
O25 0.359 0.497 0.858
O26 0.359 0.861 0.357
O27 0.363 0.867 0.074
O28 0.364 0.506 0.569
O29 0.464 0.161 0.025
O30 0.469 0.162 0.737
O31 0.472 0.299 0.524
O32 0.477 0.309 0.238
O33 0.491 0.361 0.922
O34 0.495 0.134 0.135
O35 0.497 0.645 0.073
O36 0.500 0.857 0.855
O37 0.502 0.360 0.638
O38 0.506 0.145 0.425
O39 0.506 0.640 0.360
O40 0.509 0.870 0.571
O41 0.520 0.828 0.255
O42 0.532 0.697 0.469
O43 0.533 0.694 0.757
O44 0.533 0.830 0.970
O45 0.634 0.142 0.923
O46 0.637 0.502 0.138
O47 0.638 0.507 0.423
O48 0.640 0.136 0.636
O49 0.692 0.527 0.022
O50 0.694 0.171 0.237
O51 0.698 0.535 0.738
O52 0.703 0.168 0.526
O53 0.802 0.833 0.693
O54 0.803 0.832 0.408
O55 0.804 0.967 0.190
O56 0.814 0.979 0.903
O57 0.830 0.530 0.524
O58 0.831 0.031 0.591
O59 0.833 0.026 0.305
O60 0.833 0.304 0.022
O61 0.833 0.805 0.801
O62 0.837 0.305 0.737
O63 0.840 0.537 0.240
O64 0.842 0.812 0.087
O65 0.858 0.502 0.922
O66 0.860 0.499 0.639
O67 0.863 0.364 0.138
O68 0.868 0.364 0.425
O69 0.971 0.813 0.591
O70 0.973 0.171 0.801
O71 0.976 0.804 0.302
O72 0.977 0.165 0.087
```

***

Material: NaTiNbSiP2O12
Method: DFT, PBE-GGA
State: optimized geometry

The crystal system is monoclinic. For the energy with MP2020 corrections, the calculation gives -8.28 eV per atom. Its formation energy is -3.006 eV per atom. As for the size of the total moment: 0.0 Bohr magnetons per cell.

Cell and atoms, written as CIF:
```
data_NaTiNbSiP2O12
_chemical_formula_sum 'Na12 Ti12 Nb12 Si12 P24 O144'
_space_group_name_H-M_alt 'C 1 c 1'
_space_group_IT_number 9
_space_group_name_Hall 'C -2yc'
_cell_length_a 15.178
_cell_length_b 8.767
_cell_length_c 22.653
_cell_angle_alpha 90.00
_cell_angle_beta 90.16
_cell_angle_gamma 90.00
loop_
_atom_site_label
_atom_site_fract_x
_atom_site_fract_y
_atom_site_fract_z
Na1 0.000 0.000 0.000
Na2 0.166 0.500 0.333
Na3 0.333 0.000 0.167
Ti1 0.168 0.499 0.477
Ti2 0.339 0.002 0.310
Ti3 0.497 0.492 0.143
Nb1 0.001 0.001 0.852
Nb2 0.167 0.497 0.186
Nb3 0.335 0.005 0.019
Si1 0.312 0.360 0.080
Si2 0.480 0.140 0.913
Si3 0.498 0.211 0.247
P1 0.025 0.352 0.079
P2 0.145 0.139 0.246
P3 0.165 0.213 0.580
P4 0.192 0.147 0.913
P5 0.331 0.287 0.413
P6 0.358 0.353 0.746
O1 0.015 0.180 0.088
O2 0.015 0.181 0.805
O3 0.065 0.429 0.136
O4 0.076 0.435 0.422
O5 0.081 0.387 0.025
O6 0.085 0.109 0.588
O7 0.085 0.395 0.740
O8 0.086 0.116 0.302
O9 0.099 0.071 0.907
O10 0.100 0.072 0.191
O11 0.151 0.313 0.525
O12 0.153 0.316 0.240
O13 0.180 0.314 0.636
O14 0.180 0.319 0.921
O15 0.232 0.071 0.969
O16 0.236 0.069 0.255
O17 0.247 0.114 0.858
O18 0.249 0.114 0.573
O19 0.250 0.387 0.138
O20 0.250 0.390 0.421
O21 0.263 0.433 0.022
O22 0.265 0.429 0.740
O23 0.318 0.186 0.358
O24 0.320 0.174 0.074
O25 0.345 0.181 0.754
O26 0.348 0.188 0.469
O27 0.400 0.428 0.802
O28 0.409 0.435 0.088
O29 0.411 0.105 0.254
O30 0.414 0.383 0.691
O31 0.415 0.388 0.407
O32 0.416 0.112 0.971
O33 0.431 0.066 0.856
O34 0.431 0.075 0.573
O35 0.485 0.321 0.189
O36 0.488 0.326 0.906
```